# 1
YbOs2 after structural relaxation, computed with meta-GGA r2SCAN.

Volume (Å³/atom): 17.43
E_tot (eV/cell): -575.6
E_form (meV/atom): -470

Unit cell a=5.2437 b=5.2437 c=8.7819 alpha=90.00 beta=90.00 gamma=120.00
Space group P6_3/mmc (No. 194)
One atom of each set of equivalent atoms:
Yb  0.3333  0.6667  0.0660 (multiplicity 4)
Os  0.0000  0.0000  0.0000 (multiplicity 2)
Os  0.1722  0.3443  0.7500 (multiplicity 6)



# 2
Y2AlNi2 after structural relaxation, computed with meta-GGA r2SCAN.

Volume (Å³/atom): 18.65
E_tot (eV/cell): -147.9
E_form (meV/atom): -521

Unit cell a=4.169 b=5.379 c=8.316 alpha=90.00 beta=90.00 gamma=90.00
Space group Immm (No. 71)
One atom of each set of equivalent atoms:
Y  0.000  0.000  0.203 (multiplicity 4)
Al  0.000  0.500  0.000 (multiplicity 2)
Ni  0.000  0.268  0.500 (multiplicity 4)



# 3
HfBRh3 after structural relaxation, computed with meta-GGA r2SCAN.

Volume (Å³/atom): 13.74
E_tot (eV/cell): -129.0
E_form (meV/atom): -824

Unit cell a=4.095 b=4.095 c=4.095 alpha=90.00 beta=90.00 gamma=90.00
Space group Pm-3m (No. 221)
One atom of each set of equivalent atoms:
Hf  0.000  0.000  0.000 (multiplicity 1)
B  0.500  0.500  0.500 (multiplicity 1)
Rh  0.000  0.500  0.500 (multiplicity 3)



# 4
CeAlO3 after structural relaxation, computed with meta-GGA r2SCAN.

Volume (Å³/atom): 10.65
E_tot (eV/cell): -73.5
E_form (meV/atom): -3603

Unit cell a=3.762 b=3.762 c=3.762 alpha=90.00 beta=90.00 gamma=90.00
Space group Pm-3m (No. 221)
One atom of each set of equivalent atoms:
Ce  0.000  0.000  0.000 (multiplicity 1)
Al  0.500  0.500  0.500 (multiplicity 1)
O  0.000  0.500  0.500 (multiplicity 3)



# 5
LaSi2Rh3 after structural relaxation, computed with meta-GGA r2SCAN.

Volume (Å³/atom): 16.62
E_tot (eV/cell): -126.2
E_form (meV/atom): -1078

Unit cell a=5.6201 b=5.6201 c=3.6453 alpha=90.00 beta=90.00 gamma=120.00
Space group P6/mmm (No. 191)
One atom of each set of equivalent atoms:
La  0.0000  0.0000  0.0000 (multiplicity 1)
Si  0.3333  0.6667  0.0000 (multiplicity 2)
Rh  0.0000  0.5000  0.5000 (multiplicity 3)



# 6
Co2NiS4 after structural relaxation, computed with meta-GGA r2SCAN.

Volume (Å³/atom): 14.32
E_tot (eV/cell): -594.3
E_form (meV/atom): -529

Unit cell a=9.291 b=9.291 c=9.291 alpha=90.00 beta=90.00 gamma=90.00
Space group Fd-3m (No. 227, origin choice 2)
One atom of each set of equivalent atoms:
Co  0.000  0.000  0.000 (multiplicity 16)
Ni  0.125  0.125  0.625 (multiplicity 8)
S  0.009  0.009  0.241 (multiplicity 32)